Below is an optimized crystal structure of Mg5Pb, with properties calculated at the PBE level.

Values from the calculation:
The energy relative to the lowest polymorph listed for this composition comes out at 0.021 eV per atom. The total energy is -1.946 eV/atom. The formation energy comes out at 0.007 eV/atom. The calculated volume comes out at 145.6 Å³/f.u. The calculated density comes out at 3.75 g cm⁻³.

a b c (Å): 11.798 3.338 7.669
angles (deg): 90.00 105.43 90.00
Space group Cm (No. 8)
Inequivalent atoms, fractional coordinates:
Mg 0.000 0.000 0.000 (multiplicity 2)
Mg 0.053 0.000 0.605 (multiplicity 2)
Mg 0.166 0.500 0.336 (multiplicity 2)
Mg 0.337 0.000 0.660 (multiplicity 2)
Mg 0.392 0.000 0.279 (multiplicity 2)
Pb 0.223 0.500 0.944 (multiplicity 2)